Entry 1:
VASP calculation (PBE-GGA) on a geometry-optimized Ga40GeMo8 structure.

Symmetry: R-3, No. 148

```
Ga40GeMo8
1.0
7.035 4.061 5.151
-7.035 4.061 5.151
0.000 -8.123 5.151
Ga Ge Mo
40 1 8
Direct
0.000 0.000 0.000
0.000 0.000 0.500
0.000 0.500 0.000
0.031 0.278 0.174
0.051 0.425 0.722
0.099 0.285 0.466
0.110 0.134 0.766
0.134 0.766 0.110
0.174 0.031 0.278
0.183 0.675 0.625
0.234 0.890 0.866
0.244 0.549 0.374
0.278 0.174 0.031
0.278 0.949 0.575
0.285 0.466 0.099
0.325 0.375 0.817
0.374 0.244 0.549
0.375 0.817 0.325
0.425 0.722 0.051
0.451 0.626 0.756
0.466 0.099 0.285
0.500 0.000 0.000
0.534 0.901 0.715
0.549 0.374 0.244
0.575 0.278 0.949
0.625 0.183 0.675
0.626 0.756 0.451
0.675 0.625 0.183
0.715 0.534 0.901
0.722 0.051 0.425
0.722 0.826 0.969
0.756 0.451 0.626
0.766 0.110 0.134
0.817 0.325 0.375
0.826 0.969 0.722
0.866 0.233 0.890
0.890 0.866 0.234
0.901 0.715 0.534
0.949 0.575 0.278
0.969 0.722 0.826
0.500 0.500 0.500
0.113 0.787 0.389
0.213 0.611 0.887
0.287 0.287 0.287
0.389 0.113 0.787
0.611 0.887 0.213
0.713 0.713 0.713
0.787 0.389 0.113
0.887 0.213 0.611
```

=====

Entry 2:
VASP calculation (PBE-GGA) on a geometry-optimized Al11P12O48 structure.

Symmetry: R-3c, No. 167

```
Al11P12O48
1.0
7.115 4.108 14.243
-7.115 4.108 14.243
0.000 -8.216 14.243
Al P O
22 24 96
Direct
0.034 0.364 0.695
0.114 0.114 0.114
0.123 0.750 0.377
0.136 0.466 0.805
0.195 0.864 0.534
0.250 0.623 0.877
0.305 0.966 0.636
0.364 0.695 0.034
0.377 0.123 0.750
0.386 0.386 0.386
0.466 0.805 0.136
0.534 0.195 0.864
0.614 0.614 0.614
0.623 0.877 0.250
0.636 0.305 0.966
0.695 0.034 0.364
0.750 0.377 0.123
0.805 0.136 0.466
0.864 0.534 0.195
0.877 0.250 0.623
0.886 0.886 0.886
0.966 0.636 0.305
0.014 0.671 0.067
0.067 0.014 0.671
0.097 0.703 0.761
0.171 0.514 0.567
0.203 0.597 0.261
0.239 0.903 0.297
0.261 0.203 0.597
0.297 0.239 0.903
0.329 0.933 0.986
0.403 0.739 0.797
0.433 0.829 0.486
0.486 0.433 0.829
0.514 0.567 0.171
0.567 0.171 0.514
0.597 0.261 0.203
0.671 0.067 0.014
0.703 0.761 0.097
0.739 0.797 0.403
0.761 0.097 0.703
0.797 0.403 0.739
0.829 0.486 0.433
0.903 0.297 0.239
0.933 0.986 0.329
0.986 0.329 0.933
0.010 0.144 0.620
0.015 0.036 0.214
0.018 0.313 0.833
0.019 0.215 0.188
0.029 0.415 0.891
0.036 0.214 0.015
0.085 0.471 0.609
0.085 0.596 0.805
0.096 0.585 0.305
0.109 0.971 0.585
0.120 0.644 0.510
0.131 0.257 0.640
0.140 0.757 0.631
0.144 0.620 0.010
0.167 0.982 0.687
0.175 0.686 0.291
0.186 0.675 0.791
0.187 0.482 0.667
0.188 0.019 0.215
0.195 0.915 0.404
0.209 0.814 0.325
0.214 0.015 0.036
0.215 0.188 0.019
0.243 0.369 0.860
0.257 0.640 0.131
0.285 0.481 0.312
0.286 0.464 0.485
0.291 0.175 0.686
0.305 0.096 0.585
0.312 0.285 0.481
0.313 0.833 0.018
0.314 0.709 0.825
0.325 0.209 0.814
0.333 0.813 0.518
0.356 0.490 0.880
0.360 0.869 0.743
0.369 0.860 0.243
0.380 0.990 0.856
0.391 0.915 0.529
0.404 0.195 0.915
0.415 0.695 0.904
0.415 0.891 0.029
0.464 0.485 0.286
0.471 0.609 0.085
0.481 0.312 0.285
0.482 0.667 0.187
0.485 0.286 0.464
0.490 0.880 0.356
0.510 0.120 0.644
0.515 0.714 0.536
0.518 0.333 0.813
0.519 0.688 0.715
0.529 0.391 0.915
0.536 0.515 0.714
0.585 0.109 0.971
0.585 0.305 0.096
0.596 0.805 0.085
0.609 0.085 0.471
0.620 0.010 0.144
0.631 0.140 0.757
0.640 0.131 0.257
0.644 0.510 0.120
0.667 0.187 0.482
0.675 0.791 0.186
0.686 0.291 0.175
0.687 0.167 0.982
0.688 0.715 0.519
0.695 0.904 0.415
0.709 0.825 0.314
0.714 0.536 0.515
0.715 0.519 0.688
0.743 0.360 0.869
0.757 0.631 0.140
0.785 0.812 0.981
0.786 0.985 0.964
0.791 0.186 0.675
0.805 0.085 0.596
0.812 0.981 0.785
0.813 0.518 0.333
0.814 0.325 0.209
0.825 0.314 0.709
0.833 0.018 0.313
0.856 0.380 0.990
0.860 0.243 0.369
0.869 0.743 0.360
0.880 0.356 0.490
0.891 0.029 0.415
0.904 0.415 0.695
0.915 0.404 0.195
0.915 0.529 0.391
0.964 0.786 0.985
0.971 0.585 0.109
0.981 0.785 0.812
0.982 0.687 0.167
0.985 0.964 0.786
0.990 0.856 0.380
```

=====

Entry 3:
VASP calculation (PBE-GGA) on a geometry-optimized MgTe structure.

Symmetry: Fm-3m, No. 225

```
MgTe
1.0
0.000 2.990 2.990
2.990 0.000 2.990
2.990 2.990 0.000
Mg Te
1 1
Direct
0.000 0.000 0.000
0.500 0.500 0.500
```

=====

Entry 4:
VASP calculation (PBE-GGA) on a geometry-optimized MgSi structure.

Symmetry: P-1, No. 2

```
MgSi
1.0
5.564 0.000 0.000
-0.979 5.523 0.000
-2.270 -0.469 7.314
Mg Si
6 6
Direct
0.183 0.270 0.038
0.213 0.609 0.699
0.244 0.859 0.355
0.756 0.141 0.645
0.787 0.391 0.301
0.817 0.730 0.962
0.253 0.117 0.676
0.309 0.363 0.420
0.377 0.820 0.046
0.623 0.180 0.954
0.691 0.637 0.580
0.747 0.883 0.324
```

=====

Entry 5:
VASP calculation (PBE-GGA) on a geometry-optimized CaCu3P3O13 structure.

Symmetry: P2_1/m, No. 11

```
CaCu3P3O13
1.0
7.577 0.000 0.000
0.000 6.226 0.000
-1.792 0.000 10.063
Ca Cu P O
2 6 6 26
Direct
0.163 0.250 0.195
0.837 0.750 0.805
0.149 0.250 0.798
0.265 0.750 0.435
0.500 0.000 0.000
0.500 0.500 0.000
0.735 0.250 0.565
0.851 0.750 0.202
0.188 0.750 0.113
0.243 0.750 0.760
0.290 0.250 0.516
0.710 0.750 0.484
0.757 0.250 0.240
0.812 0.250 0.887
0.002 0.250 0.970
0.121 0.562 0.789
0.121 0.938 0.789
0.135 0.750 0.256
0.147 0.250 0.606
0.253 0.061 0.413
0.253 0.439 0.413
0.294 0.544 0.098
0.294 0.956 0.098
0.303 0.750 0.626
0.381 0.250 0.908
0.419 0.750 0.867
0.475 0.250 0.602
0.525 0.750 0.398
0.581 0.250 0.133
0.619 0.750 0.092
0.697 0.250 0.374
0.706 0.044 0.902
0.706 0.456 0.902
0.747 0.561 0.587
0.747 0.939 0.587
0.853 0.750 0.394
0.865 0.250 0.744
0.879 0.062 0.211
0.879 0.438 0.211
0.998 0.750 0.030
```

=====

Entry 6:
VASP calculation (PBE-GGA) on a geometry-optimized Zr4H22N4O3F20 structure.

Symmetry: Cc, No. 9

```
Zr4H22N4O3F20
1.0
11.916 -3.451 0.000
11.916 3.451 0.000
-7.395 0.000 13.312
Zr H N O F
8 44 8 6 40
Direct
0.026 0.974 0.500
0.087 0.181 0.439
0.181 0.087 0.939
0.240 0.335 0.679
0.335 0.240 0.179
0.800 0.888 0.765
0.888 0.800 0.265
0.974 0.026 0.000
0.010 0.253 0.252
0.012 0.851 0.616
0.136 0.872 0.687
0.155 0.251 0.318
0.251 0.155 0.818
0.253 0.010 0.752
0.263 0.526 0.996
0.297 0.497 0.471
0.312 0.341 0.914
0.328 0.398 0.541
0.340 0.932 0.216
0.341 0.312 0.414
0.389 0.656 0.153
0.398 0.328 0.041
0.400 0.573 0.412
0.424 0.744 0.256
0.449 0.789 0.587
0.454 0.501 0.825
0.464 0.547 0.334
0.497 0.297 0.971
0.501 0.454 0.325
0.526 0.263 0.496
0.547 0.464 0.834
0.555 0.687 0.113
0.573 0.400 0.912
0.601 0.859 0.451
0.622 0.840 0.964
0.634 0.746 0.656
0.645 0.646 0.032
0.646 0.645 0.532
0.656 0.389 0.653
0.687 0.555 0.613
0.744 0.424 0.756
0.746 0.634 0.156
0.753 0.781 0.901
0.781 0.753 0.401
0.788 0.813 0.529
0.789 0.449 0.087
0.813 0.788 0.029
0.840 0.622 0.464
0.851 0.012 0.116
0.859 0.601 0.951
0.872 0.136 0.187
0.932 0.340 0.716
0.220 0.664 0.178
0.367 0.373 0.981
0.373 0.367 0.481
0.602 0.686 0.597
0.664 0.220 0.678
0.686 0.602 0.097
0.752 0.764 0.461
0.764 0.752 0.961
0.056 0.279 0.322
0.101 0.838 0.615
0.279 0.056 0.822
0.493 0.616 0.212
0.616 0.493 0.712
0.838 0.101 0.115
0.018 0.529 0.142
0.111 0.607 0.806
0.137 0.973 0.806
0.158 0.207 0.603
0.173 0.314 0.517
0.197 0.959 0.627
0.201 0.745 0.032
0.207 0.158 0.103
0.212 0.517 0.294
0.226 0.909 0.454
0.232 0.296 0.794
0.241 0.885 0.991
0.282 0.439 0.649
0.296 0.232 0.294
0.314 0.173 0.017
0.350 0.619 0.471
0.383 0.944 0.421
0.439 0.282 0.149
0.488 0.811 0.952
0.517 0.212 0.794
0.529 0.018 0.642
0.607 0.111 0.306
0.613 0.917 0.155
0.619 0.350 0.971
0.701 0.840 0.796
0.745 0.201 0.532
0.811 0.488 0.452
0.826 0.960 0.930
0.840 0.701 0.296
0.862 0.867 0.650
0.867 0.862 0.150
0.885 0.241 0.491
0.909 0.226 0.954
0.917 0.613 0.655
0.922 0.978 0.840
0.944 0.383 0.921
0.959 0.197 0.127
0.960 0.826 0.430
0.973 0.137 0.306
0.978 0.922 0.340
```

=====

Entry 7:
VASP calculation (PBE-GGA) on a geometry-optimized K3Na2SnBi3 structure.

Symmetry: Ibca, No. 73

```
K3Na2SnBi3
1.0
-3.634 8.641 10.906
3.634 -8.641 10.906
3.634 8.641 -10.906
K Na Sn Bi
12 8 4 12
Direct
0.076 0.750 0.826
0.088 0.887 0.645
0.242 0.387 0.299
0.258 0.557 0.145
0.412 0.057 0.799
0.424 0.250 0.674
0.576 0.750 0.326
0.588 0.943 0.201
0.742 0.443 0.855
0.758 0.613 0.701
0.912 0.113 0.355
0.924 0.250 0.174
0.003 0.253 0.750
0.162 0.412 0.750
0.338 0.088 0.250
0.497 0.247 0.250
0.503 0.753 0.750
0.662 0.912 0.750
0.838 0.588 0.250
0.997 0.747 0.250
0.168 0.918 0.250
0.332 0.582 0.750
0.668 0.418 0.250
0.832 0.082 0.750
0.022 0.372 0.074
0.148 0.250 0.398
0.202 0.053 0.574
0.298 0.872 0.851
0.352 0.750 0.102
0.478 0.553 0.351
0.522 0.447 0.649
0.648 0.250 0.898
0.702 0.128 0.149
0.798 0.947 0.426
0.852 0.750 0.602
0.978 0.628 0.926
```

=====

Which formation enthalpy at 0 K belongs to each record? In order, -136.2 -2977.5 -1021.2 47.2 -2068.7 -1985.2 -365.6 meV per atom.